<one>
Fe3OF5 | the Materials Project database | PBE with a Hubbard U | optimized geometry; M_tot = 13.0 μB/f.u.
1.0
3.3438 -3.4631 0.0000
3.3438 3.4631 0.0000
0.0000 0.0000 9.6711
Fe O F
6 2 10
Cartesian
0.0513 0.0000 7.9740
0.1981 0.0000 4.8356
0.0513 0.0000 1.6971
3.2284 0.0000 6.4050
3.3801 0.0000 0.0000
3.2284 0.0000 3.2662
1.3096 0.0000 6.3528
1.3096 0.0000 3.3183
1.3548 0.0000 0.0000
3.3518 -1.3534 8.0016
3.3366 -1.4104 4.8356
3.3518 -1.3534 1.6696
3.3518 1.3534 8.0016
3.3366 1.4104 4.8356
3.3518 1.3534 1.6696
5.2782 0.0000 6.2997
5.4083 0.0000 0.0000
5.2782 0.0000 3.3714

---

<two>
Fe3OF5 | the Materials Project database | PBE with a Hubbard U | optimized geometry; M_tot = 13.0 μB/f.u.
1.0
5.7889 0.0000 0.0000
1.8657 5.5221 0.0000
2.2472 1.5564 6.9907
Fe O F
6 2 10
Cartesian
6.9129 4.9899 5.9170
4.0508 2.8871 4.5393
5.7388 4.1719 2.2927
3.0206 2.2736 1.1856
6.8888 0.7862 3.4634
1.9633 5.4230 0.0407
4.0916 2.9264 2.6651
3.0654 3.7655 0.0566
2.8693 4.5408 4.7210
4.6489 5.9464 2.2120
7.4922 5.4232 2.1761
4.0255 2.8270 6.6287
5.6956 4.0315 4.4565
5.9880 4.3026 0.2547
2.3983 1.7242 4.8101
7.0609 2.5323 2.2227
5.2218 1.2656 4.7024
4.6121 1.5543 0.0856

---

<three>
Fe3OF5 | the Materials Project database | PBE with a Hubbard U | optimized geometry; M_tot = 13.0 μB/f.u.
1.0
3.1921 0.0000 0.0000
0.0000 4.8497 0.0000
0.0000 0.2622 14.4729
Fe O F
6 2 10
Cartesian
0.0000 0.0000 0.0000
0.0000 0.1492 4.7850
0.0000 4.9628 9.6879
1.5960 2.3327 2.5694
1.5960 2.5560 7.2364
1.5960 2.7792 11.9035
0.0000 3.5595 11.1728
0.0000 1.5524 3.3001
1.5960 3.9052 3.7852
1.5960 4.0324 8.6373
1.5960 4.0615 13.5189
0.0000 3.3920 1.4720
0.0000 3.5314 6.2170
0.0000 1.5806 8.2558
0.0000 1.7199 13.0009
1.5960 1.0505 0.9540
1.5960 1.0796 5.8356
1.5960 1.2067 10.6877

---

Stability summary: most stable <three>, least stable <one>.

---

<one>
MgFe8O8F8 | the Materials Project database | PBE with a Hubbard U | optimized geometry; M_tot = 0.0 μB/f.u.
1.0
9.8262 0.0838 -0.0213
0.0850 9.7268 -0.0254
-0.0056 -0.0078 3.0904
Mg Fe O F
1 8 8 8
Cartesian
2.5551 4.9507 1.4618
9.8842 9.7072 3.0417
9.7782 4.9241 2.9970
2.0041 2.1563 1.5630
2.2802 7.5474 1.5098
5.5034 4.8883 3.0027
4.9444 0.1109 3.0793
7.5279 2.6911 1.4563
7.5330 7.1607 1.4696
0.9871 3.7821 1.4814
0.7189 8.7387 1.5167
1.3315 1.3046 0.0061
1.8452 6.0737 3.0181
5.9648 3.8602 1.4562
6.6176 6.3845 3.0090
8.3875 3.4614 3.0062
9.0250 5.9382 1.4571
3.3174 3.6697 2.9709
3.5027 8.4659 -0.0017
3.8237 1.2259 1.5362
4.3122 5.8060 1.4588
6.0131 8.7857 1.5008
6.4790 1.5345 3.0317
8.2548 8.3889 3.0271
8.7149 1.0118 1.4986

---

<two>
MgFe8O8F8 | the Materials Project database | PBE with a Hubbard U | optimized geometry; M_tot = 0.0 μB/f.u.
1.0
9.8927 0.1313 0.0000
0.1325 9.8968 0.0000
0.0000 0.0000 3.1473
Mg Fe O F
1 8 8 8
Cartesian
7.4075 0.2441 1.5737
0.6238 0.0517 0.0000
0.2469 4.9066 0.0000
2.3364 2.6165 1.5737
2.2614 7.2369 1.5737
5.0245 5.0064 0.0000
4.7529 9.8573 0.0000
7.7745 4.0126 1.5737
7.3196 7.0202 1.5737
1.1528 4.0886 1.5737
1.2293 8.9418 1.5737
1.6714 1.5876 0.0000
1.4030 6.4925 0.0000
5.9610 4.1190 1.5737
6.3769 6.6214 0.0000
8.7066 3.5567 0.0000
8.7911 5.8193 1.5737
3.4792 3.4133 0.0000
3.4240 8.2749 0.0000
3.9212 1.0738 1.5737
3.8341 6.0139 1.5737
5.9264 8.9450 1.5737
6.5653 1.0738 0.0000
8.1818 8.7987 0.0000
9.1888 0.9406 1.5737

---

Stability summary: most stable <one>, least stable <two>.

---

<one>
MgFe8O8F8 | the Materials Project database | PBE with a Hubbard U | optimized geometry; M_tot = 0.0 μB/f.u.
1.0
9.6080 -0.0100 -0.0213
-0.0053 9.7932 0.0238
-0.0067 0.0079 3.0832
Mg Fe O F
1 8 8 8
Cartesian
7.2301 4.8719 0.1041
0.2366 9.7769 0.0270
0.2707 4.8766 3.0375
2.1609 2.4103 1.5321
2.1400 7.3154 1.5401
4.6918 4.9143 0.0119
4.7379 -0.0032 0.0118
7.2926 2.4794 1.6050
7.1780 7.3169 1.6195
1.0755 3.9981 1.5129
0.9613 8.8687 1.5685
1.3935 1.5067 3.0770
1.3821 6.4453 3.0841
6.0260 4.0393 1.6029
6.2100 6.5575 0.0733
8.2723 3.2039 0.0553
8.4487 5.6953 1.6377
3.3551 3.3125 3.0735
3.3203 8.2856 3.0894
3.7696 1.0468 1.5463
3.7018 5.9610 1.5415
5.8537 8.9076 1.5872
6.2609 1.4547 0.0474
8.1813 8.3328 0.0562
8.6018 0.8117 1.5620

---

<two>
MgFe8O8F8 | the Materials Project database | PBE with a Hubbard U | optimized geometry; M_tot = 0.0 μB/f.u.
1.0
10.0701 0.0680 -0.0451
0.0662 9.8415 -0.1541
-0.0127 -0.0495 3.1260
Mg Fe O F
1 8 8 8
Cartesian
7.4859 0.0363 1.3331
0.7059 0.0555 0.0000
0.1363 4.8839 3.0461
2.3104 2.6464 1.5074
2.3048 7.1693 1.4722
5.1138 4.8877 -0.0234
4.7090 9.7974 2.8180
7.7435 3.4567 1.4122
7.5348 6.6736 1.6589
1.1181 4.0590 1.4790
1.2922 8.8893 1.4085
1.6777 1.5730 3.0581
1.5523 6.4149 -0.1010
5.8395 3.9733 1.5299
6.5107 6.2886 0.0671
8.7968 3.5813 2.9821
9.2076 5.9975 1.4516
3.5066 3.5321 -0.0592
3.4926 8.1616 2.9736
3.9761 1.1487 1.4742
4.0068 5.8731 1.4957
5.8163 8.9162 1.2119
6.7286 1.0020 2.9308
8.0744 8.5216 2.6085
9.3084 0.7028 1.3046

---

Stability summary: most stable <one>, least stable <two>.

---

<one>
Li2VCrO4 | the Materials Project database | PBE with a Hubbard U | optimized geometry; M_tot = 5.0 μB/f.u.
1.0
-2.9626 2.9689 4.2600
2.9626 -2.9689 4.2600
2.9626 2.9689 -4.2600
Li V Cr O
4 2 2 8
Cartesian
0.0000 0.0000 0.0000
-1.4813 1.4845 2.1300
0.0000 2.9689 0.0000
1.4813 1.4845 2.1300
1.4813 1.4845 -2.1300
1.4813 -1.4845 2.1300
2.9626 0.0000 0.0000
0.0000 0.0000 4.2600
1.3844 1.4845 4.2911
0.0000 0.0744 6.3003
2.9626 -0.0744 2.0403
4.3470 1.4845 -0.0311
-1.3844 1.4845 4.2911
0.0000 3.0433 2.2197
2.9626 2.8945 -2.0403
1.5782 1.4845 -0.0311

---

<two>
Li2VCrO4 | the Materials Project database | PBE with a Hubbard U | optimized geometry; largest piezoelectric modulus = 2.203 C/m²; M_tot = 2.0 μB/f.u.
1.0
-1.0853 2.2055 4.6800
5.4586 1.7667 0.4332
-1.6022 5.0277 -0.3139
Li V Cr O
4 2 2 8
Cartesian
0.8220 1.5445 2.4482
3.2928 3.8389 0.1680
-1.3316 3.6206 2.1839
1.1149 5.9071 -0.0981
3.8441 6.7903 0.1187
1.3979 4.5040 2.4002
3.5514 2.4282 2.6655
-0.5217 5.1605 4.6306
0.0958 3.4989 3.6280
2.5679 5.7900 1.3457
-0.0539 4.6173 0.9544
2.9323 4.0937 3.6705
4.8254 3.4672 1.4597
0.7548 6.2013 3.4265
2.0188 2.7995 1.3730
3.4017 7.2986 3.7725

---

Stability summary: most stable <one>, least stable <two>.